The following is a r²SCAN calculation of crystalline Na2FeO3 at its relaxed geometry, from the Materials Project.

Computed properties:
energy relative to the lowest polymorph listed for this composition: 4.4 kJ/mol of atoms
ΔH_f (0 K): -9.910 eV/f.u.
DFT total energy: -8.228 eV/atom
magnetic moment: 2.00 μB/f.u.
crystal system: triclinic

a b c (Å): 5.120 5.163 10.641
angles (deg): 94.96 94.37 119.72
Sites, in units of the cell vectors:
Na 0.000 0.000 0.000
Na 0.070 0.402 0.251
Na 0.227 0.245 0.752
Na 0.412 0.085 0.250
Na 0.598 0.930 0.748
Na 0.755 0.771 0.250
Na 0.825 0.173 0.500
Na 0.913 0.587 0.750
Fe 0.163 0.845 0.500
Fe 0.336 0.673 0.000
Fe 0.490 0.500 0.500
Fe 0.662 0.328 0.000
O 0.046 0.663 0.099
O 0.167 0.139 0.400
O 0.243 0.576 0.599
O 0.342 0.967 0.900
O 0.409 0.769 0.401
O 0.417 0.404 0.099
O 0.483 0.207 0.600
O 0.583 0.597 0.901
O 0.658 0.034 0.100
O 0.779 0.510 0.401
O 0.873 0.837 0.599
O 0.953 0.337 0.901

The following is a r²SCAN calculation of crystalline TmGeRu at its relaxed geometry, from the Materials Project.

Computed properties:
ΔH_f (0 K): -2.403 eV/f.u.
DFT total energy: -25.607 eV/atom
magnetic moment: 0.00 μB/f.u.
crystal system: orthorhombic

a b c (Å): 6.936 4.360 7.162
angles (deg): 90.00 90.00 90.00
Sites, in units of the cell vectors:
Tm 0.013 0.250 0.193
Tm 0.487 0.750 0.693
Tm 0.513 0.250 0.307
Tm 0.987 0.750 0.807
Ge 0.204 0.250 0.607
Ge 0.296 0.750 0.107
Ge 0.704 0.250 0.893
Ge 0.796 0.750 0.393
Ru 0.155 0.750 0.438
Ru 0.345 0.250 0.938
Ru 0.655 0.750 0.062
Ru 0.845 0.250 0.562

The following is a r²SCAN calculation of crystalline Cs2MoS4 at its relaxed geometry, from the Materials Project.

Computed properties:
ΔH_f (0 K): -8.231 eV/f.u.
DFT total energy: -16.665 eV/atom
magnetic moment: 0.00 μB/f.u.
crystal system: orthorhombic

a b c (Å): 10.192 7.303 12.934
angles (deg): 90.00 90.00 90.00
Sites, in units of the cell vectors:
Cs 0.035 0.250 0.169
Cs 0.156 0.750 0.398
Cs 0.344 0.250 0.898
Cs 0.465 0.750 0.669
Cs 0.535 0.250 0.331
Cs 0.656 0.750 0.102
Cs 0.844 0.250 0.602
Cs 0.965 0.750 0.831
Mo 0.247 0.750 0.079
Mo 0.253 0.250 0.579
Mo 0.747 0.750 0.421
Mo 0.753 0.250 0.921
S 0.035 0.750 0.105
S 0.166 0.006 0.649
S 0.166 0.494 0.649
S 0.209 0.250 0.413
S 0.291 0.750 0.913
S 0.334 0.506 0.149
S 0.334 0.994 0.149
S 0.465 0.250 0.605
S 0.535 0.750 0.395
S 0.666 0.006 0.851
S 0.666 0.494 0.851
S 0.709 0.250 0.087
S 0.791 0.750 0.587
S 0.834 0.506 0.351
S 0.834 0.994 0.351
S 0.965 0.250 0.895

The following is a r²SCAN calculation of crystalline YClO at its relaxed geometry, from the Materials Project.

Computed properties:
ΔH_f (0 K): -10.245 eV/f.u.
DFT total energy: -14.228 eV/atom
magnetic moment: 0.00 μB/f.u.
crystal system: trigonal

a b c (Å): 9.771 9.771 9.771
angles (deg): 22.39 22.39 22.39
Sites, in units of the cell vectors:
Y 0.217 0.217 0.217
Y 0.783 0.783 0.783
Cl 0.389 0.389 0.389
Cl 0.611 0.611 0.611
O 0.137 0.137 0.137
O 0.863 0.863 0.863